Here is crystalline TlCoNiSe2 at its relaxed geometry from Materials Project. Energies are from PBE-GGA.

Values from the calculation:
**Size of the total moment**: 2.56 μB/cell
**DFT formation energy**: -0.433 eV/atom
**Total energy**: -4.69 eV/atom
**Corrected total energy (MP2020 scheme)**: -24.41 eV/cell

Cell lengths 7.6188, 7.6188, 7.6188 Å; angles 150.97, 150.97, 41.51 degrees
With the nearest neighbours (Å) after each atom.
Sites, in units of the cell vectors:
Tl (0.0000, 0.0000, 0.0000)  8 Se 3.44, 4 Tl 3.82
Co (0.2500, 0.7500, 0.5000)  4 Se 2.38
Ni (0.7500, 0.2500, 0.5000)  4 Se 2.38
Se (0.3502, 0.3502, 0.0000)  2 Co 2.38, 2 Ni 2.38
Se (0.6498, 0.6498, 0.0000)  2 Co 2.38, 2 Ni 2.38

---

Here is crystalline YAlCo4 at its relaxed geometry from Materials Project. Energies are from PBE-GGA.

Values from the calculation:
**Size of the total moment**: 4.45 μB/cell
**DFT formation energy**: -0.251 eV/atom
**Total energy**: -6.69 eV/atom

Cell lengths 5.0459, 5.0459, 3.8713 Å; angles 90.00, 90.00, 120.00 degrees
With the nearest neighbours (Å) after each atom.
Sites, in units of the cell vectors:
Y (0.0000, 0.0000, 0.0000)  15 Co 2.91-3.18, 3 Al 2.91
Al (0.3333, 0.6667, 0.0000)  6 Co 2.44
Co (0.5034, 0.0068, 0.5000)  6 Co 2.40-2.57, 2 Al 2.44
Co (0.5034, 0.4966, 0.5000)  6 Co 2.40-2.57, 2 Al 2.44
Co (0.6667, 0.3333, 0.0000)  6 Co 2.40
Co (0.9932, 0.4966, 0.5000)  6 Co 2.40-2.57, 2 Al 2.44

---

Here is crystalline BaAs2Rh2 at its relaxed geometry from Materials Project. Energies are from PBE-GGA.

Values from the calculation:
**DFT formation energy**: -0.817 eV/atom
**Total energy**: -6.01 eV/atom

Cell lengths 7.1451, 7.1451, 7.1451 Å; angles 146.66, 146.66, 47.86 degrees
With the nearest neighbours (Å) after each atom.
Sites, in units of the cell vectors:
Ba (0.0000, 0.0000, 0.0000)  8 As 3.45, 8 Rh 3.86
As (0.3563, 0.3563, 0.0000)  4 Rh 2.48
As (0.6437, 0.6437, 0.0000)  4 Rh 2.48
Rh (0.2500, 0.7500, 0.5000)  4 As 2.48
Rh (0.7500, 0.2500, 0.5000)  4 As 2.48